Computed, not measured: Na5LuSi4O12 after structural relaxation at the GGA-PBE level of DFT.

Unit cell a=13.5277 b=13.5277 c=13.5277 alpha=110.66 beta=110.66 gamma=110.66
Sites, in units of the cell vectors:
Na  0.0000  0.0000  0.0000
Na  0.0000  0.7173  0.2827
Na  0.0325  0.8172  0.8255
Na  0.1342  0.6410  0.1688
Na  0.1688  0.1342  0.6410
Na  0.1707  0.5881  0.6897
Na  0.1745  0.1828  0.9675
Na  0.1828  0.9675  0.1745
Na  0.2553  0.2553  0.2553
Na  0.2827  0.0000  0.7173
Na  0.3103  0.4119  0.8293
Na  0.3422  0.5345  0.3456
Na  0.3456  0.3422  0.5345
Na  0.3590  0.8658  0.8312
Na  0.4119  0.8293  0.3103
Na  0.4655  0.6578  0.6544
Na  0.5345  0.3456  0.3422
Na  0.5881  0.6897  0.1707
Na  0.6410  0.1688  0.1342
Na  0.6544  0.4655  0.6578
Na  0.6578  0.6544  0.4655
Na  0.6897  0.1707  0.5881
Na  0.7173  0.2827  0.0000
Na  0.7447  0.7447  0.7447
Na  0.8172  0.8255  0.0325
Na  0.8255  0.0325  0.8172
Na  0.8293  0.3103  0.4119
Na  0.8312  0.3590  0.8658
Na  0.8658  0.8312  0.3590
Na  0.9675  0.1745  0.1828
Lu  0.0000  0.2504  0.7496
Lu  0.2504  0.7496  0.0000
Lu  0.2522  0.7478  0.5000
Lu  0.5000  0.2522  0.7478
Lu  0.7478  0.5000  0.2522
Lu  0.7496  0.0000  0.2504
Si  0.0153  0.7557  0.5571
Si  0.0359  0.3135  0.0424
Si  0.0424  0.0359  0.3135
Si  0.0593  0.2544  0.5110
Si  0.1820  0.4575  0.4614
Si  0.2443  0.9847  0.4429
Si  0.2544  0.5110  0.0593
Si  0.3135  0.0424  0.0359
Si  0.4429  0.2443  0.9847
Si  0.4575  0.4614  0.1820
Si  0.4614  0.1820  0.4575
Si  0.4890  0.7456  0.9407
Si  0.5110  0.0593  0.2544
Si  0.5386  0.5425  0.8180
Si  0.5425  0.8180  0.5386
Si  0.5571  0.0153  0.7557
Si  0.6865  0.9641  0.9576
Si  0.7456  0.9407  0.4890
Si  0.7557  0.5571  0.0153
Si  0.8180  0.5386  0.5425
Si  0.9407  0.4890  0.7456
Si  0.9576  0.6865  0.9641
Si  0.9641  0.9576  0.6865
Si  0.9847  0.4429  0.2443
O  0.0428  0.3916  0.3309
O  0.0446  0.8991  0.6454
O  0.0498  0.1081  0.7454
O  0.0650  0.2190  0.0739
O  0.0739  0.0650  0.2190
O  0.0855  0.5899  0.3049
O  0.0862  0.5936  0.8096
O  0.0938  0.2696  0.6453
O  0.1009  0.9554  0.3546
O  0.1081  0.7454  0.0498
O  0.1152  0.1712  0.4534
O  0.1445  0.3994  0.5434
O  0.1525  0.7803  0.5930
O  0.1712  0.4534  0.1152
O  0.1904  0.4064  0.9138
O  0.2190  0.0739  0.0650
O  0.2197  0.8475  0.4070
O  0.2483  0.6092  0.5522
O  0.2546  0.8919  0.9502
O  0.2702  0.4210  0.4256
O  0.2696  0.6453  0.0938
O  0.3049  0.0855  0.5899
O  0.3309  0.0428  0.3916
O  0.3546  0.1009  0.9554
O  0.3547  0.7304  0.9062
O  0.3908  0.7517  0.4478
O  0.3916  0.3309  0.0428
O  0.3994  0.5434  0.1445
O  0.4064  0.9138  0.1904
O  0.4070  0.2197  0.8475
O  0.4101  0.9145  0.6951
O  0.4210  0.4256  0.2702
O  0.4256  0.2702  0.4210
O  0.4478  0.3908  0.7517
O  0.4534  0.1152  0.1712
O  0.4566  0.6006  0.8555
O  0.5434  0.1445  0.3994
O  0.5466  0.8288  0.8848
O  0.5522  0.2483  0.6092
O  0.5744  0.5790  0.7298
O  0.5790  0.7298  0.5744
O  0.5899  0.3049  0.0855
O  0.5930  0.1525  0.7803
O  0.5936  0.8096  0.0862
O  0.6006  0.8555  0.4566
O  0.6084  0.9572  0.6691
O  0.6092  0.5522  0.2483
O  0.6454  0.0446  0.8991
O  0.6453  0.0938  0.2696
O  0.6691  0.6084  0.9572
O  0.6951  0.4101  0.9145
O  0.7298  0.5744  0.5790
O  0.7304  0.9062  0.3547
O  0.7454  0.0498  0.1081
O  0.7517  0.4478  0.3908
O  0.7803  0.5930  0.1525
O  0.7810  0.9350  0.9261
O  0.8096  0.0862  0.5936
O  0.8288  0.8848  0.5466
O  0.8475  0.4070  0.2197
O  0.8555  0.4566  0.6006
O  0.8848  0.5466  0.8288
O  0.8919  0.9502  0.2546
O  0.8991  0.6454  0.0446
O  0.9062  0.3547  0.7304
O  0.9138  0.1904  0.4064
O  0.9145  0.6951  0.4101
O  0.9261  0.7810  0.9350
O  0.9350  0.9261  0.7810
O  0.9502  0.2546  0.8919
O  0.9554  0.3546  0.1009
O  0.9572  0.6691  0.6084

* ΔE_f: -289.3 kJ/mol of atoms
* excess energy over the best structure of this formula in the dataset: 0 meV per atom
* M_tot: 0.00 μB/cell